# PmTm

An optimized crystal structure of PmTm (PBE-GGA, the Materials Project).

Values from the calculation:
Its crystal system is hexagonal.

a b c (Å): 3.6051 3.6051 5.7961
angles (deg): 90.00 90.00 120.00
Closest atoms and distances in Å follow each position.
Positions (direct):
Pm1 0.0000 0.0000 0.0000  6 Tm 3.57, 6 Pm 3.61
Tm1 0.6667 0.3333 0.5000  6 Pm 3.57, 6 Tm 3.61


# Na2MgH20S2O18

An optimized crystal structure of Na2MgH20S2O18 (PBE-GGA, the Materials Project).

Values from the calculation:
Its crystal system is monoclinic.

a b c (Å): 12.7114 6.5125 10.1917
angles (deg): 90.00 106.34 90.00
Closest atoms and distances in Å follow each position.
Positions (direct):
Na1 0.0190 0.2441 0.1033  6 O 2.40-2.60
Na2 0.0190 0.2559 0.6033  6 O 2.40-2.60
Na3 0.9810 0.7441 0.3967  6 O 2.40-2.60
Na4 0.9810 0.7559 0.8967  6 O 2.40-2.60
Mg1 0.5000 0.0000 0.5000  6 O 2.05-2.15
Mg2 0.5000 0.5000 0.0000  6 O 2.05-2.15
H1 0.1132 0.6937 0.6756  1 O 0.99
H2 0.1132 0.8063 0.1756  1 O 0.99
H3 0.1421 0.1132 0.4086  1 O 0.99
H4 0.1421 0.3868 0.9086  1 O 0.99
H5 0.1664 0.5752 0.5746  1 O 0.98
H6 0.1664 0.9248 0.0746  1 O 0.98
H7 0.1725 0.5218 0.0404  1 O 0.98
H8 0.1725 0.9782 0.5404  1 O 0.98
H9 0.3032 0.0675 0.3138  1 O 0.99
H10 0.3032 0.4325 0.8138  1 O 0.99
H11 0.3343 0.6713 0.8000  1 O 0.99
H12 0.3343 0.8287 0.3000  1 O 0.99
H13 0.3627 0.0780 0.6566  1 O 1.00
H14 0.3627 0.4220 0.1566  1 O 1.00
H15 0.3649 0.2196 0.0688  1 O 0.99
H16 0.3649 0.2804 0.5688  1 O 0.99
H17 0.3996 0.6480 0.5478  1 O 1.00
H18 0.3996 0.8520 0.0478  1 O 1.00
H19 0.4959 0.7071 0.6824  1 O 0.98
H20 0.4959 0.7929 0.1824  1 O 0.98
H21 0.5041 0.2071 0.8176  1 O 0.98
H22 0.5041 0.2929 0.3176  1 O 0.98
H23 0.6004 0.1480 0.9522  1 O 1.00
H24 0.6004 0.3520 0.4522  1 O 1.00
H25 0.6351 0.7196 0.4312  1 O 0.99
H26 0.6351 0.7804 0.9312  1 O 0.99
H27 0.6373 0.5780 0.8434  1 O 1.00
H28 0.6373 0.9220 0.3434  1 O 1.00
H29 0.6657 0.1713 0.7000  1 O 0.99
H30 0.6657 0.3287 0.2000  1 O 0.99
H31 0.6968 0.5675 0.1862  1 O 0.99
H32 0.6968 0.9325 0.6862  1 O 0.99
H33 0.8275 0.0218 0.4596  1 O 0.98
H34 0.8275 0.4782 0.9596  1 O 0.98
H35 0.8336 0.0752 0.9254  1 O 0.98
H36 0.8336 0.4248 0.4254  1 O 0.98
H37 0.8579 0.6132 0.0914  1 O 0.99
H38 0.8579 0.8868 0.5914  1 O 0.99
H39 0.8868 0.1937 0.8244  1 O 0.99
H40 0.8868 0.3063 0.3244  1 O 0.99
S1 0.2243 0.0158 0.8314  4 O 1.49-1.50
S2 0.2243 0.4842 0.3314  4 O 1.49-1.50
S3 0.7757 0.5158 0.6686  4 O 1.49-1.50
S4 0.7757 0.9842 0.1686  4 O 1.49-1.50
O1 0.0980 0.5931 0.6004  2 H 0.98-0.99
O2 0.0980 0.9069 0.1004  2 H 0.98-0.99
O3 0.1099 0.0368 0.4718  2 H 0.98-0.99
O4 0.1099 0.4632 0.9718  2 H 0.98-0.99
O5 0.1187 0.5974 0.2989  1 S 1.49
O6 0.1187 0.9026 0.7989  1 S 1.49
O7 0.2023 0.2381 0.7966  1 S 1.50
O8 0.2023 0.2619 0.2966  1 S 1.50
O9 0.2834 0.5034 0.4807  1 S 1.50
O10 0.2834 0.9966 0.9807  1 S 1.50
O11 0.2936 0.5720 0.2473  1 S 1.50
O12 0.2936 0.9280 0.7473  1 S 1.50
O13 0.3640 0.5335 0.8315  2 H 0.99
O14 0.3640 0.9665 0.3315  2 H 0.99
O15 0.4106 0.1655 0.6170  2 H 0.99-1.00
O16 0.4106 0.3345 0.1170  2 H 0.99-1.00
O17 0.4685 0.7280 0.5837  2 H 0.98-1.00
O18 0.4685 0.7720 0.0837  2 H 0.98-1.00
O19 0.5315 0.2280 0.9163  2 H 0.98-1.00
O20 0.5315 0.2720 0.4163  2 H 0.98-1.00
O21 0.5894 0.6655 0.8830  2 H 0.99-1.00
O22 0.5894 0.8345 0.3830  2 H 0.99-1.00
O23 0.6360 0.0335 0.6685  2 H 0.99
O24 0.6360 0.4665 0.1685  2 H 0.99
O25 0.7064 0.0720 0.2527  1 S 1.50
O26 0.7064 0.4280 0.7527  1 S 1.50
O27 0.7166 0.0034 0.0193  1 S 1.50
O28 0.7166 0.4966 0.5193  1 S 1.50
O29 0.7977 0.7381 0.7034  1 S 1.50
O30 0.7977 0.7619 0.2034  1 S 1.50
O31 0.8813 0.0974 0.2011  1 S 1.49
O32 0.8813 0.4026 0.7011  1 S 1.49
O33 0.8901 0.5368 0.0282  2 H 0.98-0.99
O34 0.8901 0.9632 0.5282  2 H 0.98-0.99
O35 0.9020 0.0931 0.8996  2 H 0.98-0.99
O36 0.9020 0.4069 0.3996  2 H 0.98-0.99


# SrThF6

An optimized crystal structure of SrThF6 (PBE-GGA, the Materials Project).

Values from the calculation:
The value obtained for the magnetization is 0.0 μB/cell. Its crystal system is hexagonal.

a b c (Å): 4.1842 4.1842 7.5362
angles (deg): 90.00 90.00 120.00
Closest atoms and distances in Å follow each position.
Positions (direct):
Sr1 0.0000 0.0000 0.0000  5 F 2.42-2.61
Th1 0.6667 0.3333 0.5000  5 F 2.21-2.42
F1 0.0000 0.0000 0.3457  1 F 2.33
F2 0.0000 0.0000 0.6543  1 F 2.33
F3 0.3333 0.6667 0.0000  3 Sr 2.42
F4 0.3333 0.6667 0.5000  3 Th 2.42, 6 F 2.68
F5 0.6667 0.3333 0.2063  1 Th 2.21
F6 0.6667 0.3333 0.7937  1 Th 2.21


Number 1: ρ 7.99 g cm⁻³, formation energy from the elements 0.03 eV per atom. Number 2: ρ 1.82 g cm⁻³, formation energy from the elements -1.58 eV per atom. Number 3: ρ 6.30 g cm⁻³, formation energy from the elements -4.32 eV per atom.